## NaTi2O4 (GGA-PBE)

Data for a relaxed NaTi2O4 crystal.

Unit cell a=3.402 b=4.098 c=12.429 alpha=90.00 beta=90.00 gamma=90.00
Atoms (fractional coordinates):
Na 0.000 0.000 0.000
Na 0.500 0.500 0.500
Ti 0.000 0.000 0.652
Ti 0.000 0.500 0.809
Ti 0.500 0.000 0.309
Ti 0.500 0.500 0.152
O 0.000 0.000 0.376
O 0.000 0.000 0.805
O 0.000 0.500 0.086
O 0.000 0.500 0.652
O 0.500 0.000 0.152
O 0.500 0.000 0.586
O 0.500 0.500 0.305
O 0.500 0.500 0.876

* total magnetization: 0.00 μB/f.u.
* energy above the lowest structure with this stoichiometry: 1.41 kcal/mol of atoms
* energy of formation: -3.078 eV per atom
* SG: Imm2 (44)